Entry 1:
First-principles (GGA-PBE) data for Ca3GeN after structural relaxation, as listed in the Materials Project. Values from VASP.

Structure (Quantum ESPRESSO input):
```
&SYSTEM
  ibrav = 0, nat = 5, ntyp = 3
/
ATOMIC_SPECIES
Ca 40.08 Ca.upf
Ge 72.64 Ge.upf
N 14.01 N.upf
ATOMIC_POSITIONS crystal
Ca 0.000 0.000 0.500
Ca 0.000 0.500 0.000
Ca 0.500 0.000 0.000
Ge 0.500 0.500 0.500
N 0.000 0.000 0.000
CELL_PARAMETERS angstrom
4.824 0.000 0.000
0.000 4.824 0.000
0.000 0.000 4.824
```

Output
total DFT energy (no corrections): -4.53 eV/atom
symmetry: Pm-3m, No. 221

Entry 2:
First-principles (GGA-PBE) data for CaGeN2 after structural relaxation, as listed in the Materials Project. Values from VASP.

Structure (Quantum ESPRESSO input):
```
&SYSTEM
  ibrav = 0, nat = 8, ntyp = 3
/
ATOMIC_SPECIES
Ca 40.08 Ca.upf
Ge 72.64 Ge.upf
N 14.01 N.upf
ATOMIC_POSITIONS crystal
Ca 0.250 0.250 0.141
Ca 0.750 0.750 0.859
Ge 0.250 0.250 0.605
Ge 0.750 0.750 0.395
N 0.250 0.250 0.841
N 0.250 0.750 0.500
N 0.750 0.250 0.500
N 0.750 0.750 0.159
CELL_PARAMETERS angstrom
3.701 0.000 0.000
0.000 3.701 0.000
0.000 0.000 7.768
```

Output
total DFT energy (no corrections): -6.25 eV/atom
symmetry: P4/nmm, No. 129

Entry 3:
First-principles (GGA-PBE) data for Ca5Ge2N6 after structural relaxation, as listed in the Materials Project. Values from VASP.

Structure (Quantum ESPRESSO input):
```
&SYSTEM
  ibrav = 0, nat = 26, ntyp = 3
/
ATOMIC_SPECIES
Ca 40.08 Ca.upf
Ge 72.64 Ge.upf
N 14.01 N.upf
ATOMIC_POSITIONS crystal
Ca 0.121 0.879 0.750
Ca 0.171 0.673 0.993
Ca 0.259 0.440 0.285
Ca 0.327 0.829 0.507
Ca 0.440 0.259 0.785
Ca 0.560 0.741 0.215
Ca 0.673 0.171 0.493
Ca 0.741 0.560 0.715
Ca 0.829 0.327 0.007
Ca 0.879 0.121 0.250
Ge 0.153 0.409 0.581
Ge 0.409 0.153 0.081
Ge 0.591 0.847 0.919
Ge 0.847 0.591 0.419
N 0.126 0.182 0.657
N 0.182 0.126 0.157
N 0.186 0.275 0.438
N 0.275 0.186 0.938
N 0.407 0.495 0.630
N 0.495 0.407 0.130
N 0.505 0.593 0.870
N 0.593 0.505 0.370
N 0.725 0.814 0.062
N 0.814 0.725 0.562
N 0.818 0.874 0.843
N 0.874 0.818 0.343
CELL_PARAMETERS angstrom
5.143 -3.012 0.000
5.143 3.012 0.000
-2.047 0.000 12.948
```

Output
total DFT energy (no corrections): -6.08 eV/atom
symmetry: C2/c, No. 15

Entry 4:
First-principles (GGA-PBE) data for Na2CaGe6O14 after structural relaxation, as listed in the Materials Project. Values from VASP.

Structure (Quantum ESPRESSO input):
```
&SYSTEM
  ibrav = 0, nat = 23, ntyp = 4
/
ATOMIC_SPECIES
Na 22.99 Na.upf
Ca 40.08 Ca.upf
Ge 72.64 Ge.upf
O 16.00 O.upf
ATOMIC_POSITIONS crystal
Na 0.212 0.212 0.000
Na 0.788 0.788 0.000
Ca 0.368 0.632 0.000
Ge 0.033 0.967 0.500
Ge 0.123 0.545 0.484
Ge 0.455 0.877 0.516
Ge 0.542 0.212 0.498
Ge 0.788 0.458 0.502
Ge 0.792 0.208 0.000
O 0.004 0.124 0.236
O 0.100 0.751 0.319
O 0.136 0.551 0.828
O 0.249 0.900 0.681
O 0.332 0.372 0.317
O 0.449 0.864 0.172
O 0.481 0.059 0.672
O 0.572 0.339 0.768
O 0.628 0.668 0.683
O 0.661 0.428 0.232
O 0.701 0.085 0.236
O 0.876 0.996 0.764
O 0.915 0.299 0.764
O 0.941 0.519 0.328
CELL_PARAMETERS angstrom
7.128 -4.143 0.000
7.128 4.143 0.000
-0.014 0.000 4.931
```

Output
total DFT energy (no corrections): -6.27 eV/atom
symmetry: C2, No. 5

Entry 5:
First-principles (GGA-PBE) data for Na3CaGeP3O12 after structural relaxation, as listed in the Materials Project. Values from VASP.

Structure (Quantum ESPRESSO input):
```
&SYSTEM
  ibrav = 0, nat = 120, ntyp = 5
/
ATOMIC_SPECIES
Na 22.99 Na.upf
Ca 40.08 Ca.upf
Ge 72.64 Ge.upf
P 30.97 P.upf
O 16.00 O.upf
ATOMIC_POSITIONS crystal
Na 0.000 0.000 0.000
Na 0.000 0.000 0.500
Na 0.017 0.307 0.585
Na 0.018 0.645 0.751
Na 0.296 0.357 0.167
Na 0.307 0.017 0.085
Na 0.314 0.682 0.585
Na 0.352 0.637 0.251
Na 0.353 0.682 0.919
Na 0.357 0.296 0.667
Na 0.637 0.352 0.751
Na 0.645 0.018 0.251
Na 0.663 0.676 0.334
Na 0.674 0.982 0.918
Na 0.676 0.663 0.834
Na 0.682 0.314 0.085
Na 0.682 0.353 0.419
Na 0.982 0.674 0.418
Ca 0.004 0.997 0.145
Ca 0.328 0.333 0.812
Ca 0.333 0.328 0.312
Ca 0.664 0.680 0.478
Ca 0.680 0.664 0.978
Ca 0.997 0.004 0.645
Ge 0.005 0.008 0.851
Ge 0.008 0.005 0.351
Ge 0.326 0.339 0.018
Ge 0.339 0.326 0.518
Ge 0.659 0.684 0.685
Ge 0.684 0.659 0.185
P 0.050 0.648 0.911
P 0.053 0.310 0.418
P 0.310 0.053 0.918
P 0.312 0.721 0.747
P 0.313 0.976 0.244
P 0.314 0.643 0.412
P 0.385 0.644 0.079
P 0.387 0.976 0.582
P 0.643 0.314 0.912
P 0.644 0.385 0.579
P 0.644 0.982 0.080
P 0.648 0.050 0.411
P 0.717 0.981 0.750
P 0.721 0.312 0.247
P 0.976 0.313 0.744
P 0.976 0.387 0.082
P 0.981 0.717 0.250
P 0.982 0.644 0.580
O 0.003 0.799 0.194
O 0.018 0.203 0.091
O 0.025 0.786 0.585
O 0.054 0.136 0.411
O 0.054 0.823 0.913
O 0.118 0.567 0.849
O 0.119 0.354 0.752
O 0.126 0.352 0.364
O 0.129 0.537 0.255
O 0.136 0.054 0.911
O 0.140 0.821 0.412
O 0.148 0.389 0.077
O 0.157 0.466 0.581
O 0.160 0.290 0.479
O 0.176 0.539 0.966
O 0.203 0.018 0.591
O 0.208 0.955 0.299
O 0.209 0.798 0.085
O 0.214 0.833 0.806
O 0.217 0.789 0.688
O 0.231 0.990 0.183
O 0.286 0.547 0.470
O 0.290 0.160 0.979
O 0.328 0.553 0.353
O 0.347 0.538 0.754
O 0.352 0.126 0.864
O 0.354 0.119 0.252
O 0.380 0.471 0.077
O 0.389 0.148 0.577
O 0.452 0.868 0.526
O 0.453 0.868 0.924
O 0.462 0.659 0.019
O 0.466 0.157 0.081
O 0.469 0.664 0.418
O 0.471 0.380 0.577
O 0.489 0.715 0.746
O 0.490 0.799 0.245
O 0.501 0.884 0.642
O 0.509 0.614 0.136
O 0.537 0.129 0.755
O 0.538 0.347 0.254
O 0.539 0.176 0.466
O 0.547 0.286 0.970
O 0.553 0.328 0.853
O 0.567 0.118 0.349
O 0.614 0.509 0.636
O 0.631 0.879 0.138
O 0.655 0.896 0.019
O 0.659 0.462 0.519
O 0.664 0.469 0.918
O 0.690 0.867 0.418
O 0.715 0.489 0.246
O 0.720 0.804 0.747
O 0.786 0.025 0.085
O 0.789 0.217 0.188
O 0.798 0.209 0.585
O 0.799 0.003 0.694
O 0.799 0.490 0.745
O 0.804 0.720 0.247
O 0.821 0.140 0.912
O 0.823 0.054 0.413
O 0.832 0.955 0.811
O 0.833 0.214 0.306
O 0.867 0.690 0.918
O 0.868 0.452 0.026
O 0.868 0.453 0.424
O 0.879 0.631 0.638
O 0.884 0.501 0.142
O 0.896 0.655 0.519
O 0.955 0.208 0.799
O 0.955 0.832 0.311
O 0.990 0.231 0.683
CELL_PARAMETERS angstrom
7.873 -4.553 0.000
7.873 4.553 0.000
-0.013 0.000 21.721
```

Output
total DFT energy (no corrections): -6.49 eV/atom
symmetry: Cc, No. 9

Entry 6:
First-principles (GGA-PBE) data for Na3CaGeP3O12 after structural relaxation, as listed in the Materials Project. Values from VASP.

Structure (Quantum ESPRESSO input):
```
&SYSTEM
  ibrav = 0, nat = 80, ntyp = 5
/
ATOMIC_SPECIES
Na 22.99 Na.upf
Ca 40.08 Ca.upf
Ge 72.64 Ge.upf
P 30.97 P.upf
O 16.00 O.upf
ATOMIC_POSITIONS crystal
Na 0.254 0.727 0.991
Na 0.754 0.773 0.491
Na 0.754 0.227 0.991
Na 0.254 0.273 0.491
Na 0.504 0.105 0.745
Na 0.504 0.895 0.245
Na 0.004 0.605 0.745
Na 0.004 0.395 0.245
Na 0.179 0.938 0.288
Na 0.179 0.062 0.788
Na 0.679 0.438 0.288
Na 0.679 0.562 0.788
Ca 0.107 0.747 0.570
Ca 0.107 0.253 0.070
Ca 0.607 0.247 0.570
Ca 0.607 0.753 0.070
Ge 0.895 0.762 0.932
Ge 0.895 0.238 0.432
Ge 0.395 0.262 0.932
Ge 0.395 0.738 0.432
P 0.989 0.959 0.756
P 0.989 0.041 0.256
P 0.489 0.459 0.756
P 0.489 0.541 0.256
P 0.358 0.919 0.761
P 0.651 0.875 0.747
P 0.651 0.125 0.247
P 0.358 0.081 0.261
P 0.858 0.419 0.761
P 0.151 0.375 0.747
P 0.151 0.625 0.247
P 0.858 0.581 0.261
O 0.160 0.542 0.752
O 0.856 0.598 0.755
O 0.856 0.402 0.255
O 0.160 0.458 0.252
O 0.660 0.042 0.752
O 0.356 0.098 0.755
O 0.356 0.902 0.255
O 0.660 0.958 0.252
O 0.426 0.567 0.580
O 0.558 0.539 0.936
O 0.558 0.461 0.436
O 0.426 0.433 0.080
O 0.926 0.067 0.580
O 0.058 0.039 0.936
O 0.058 0.961 0.436
O 0.926 0.933 0.080
O 0.263 0.868 0.754
O 0.743 0.799 0.748
O 0.743 0.201 0.248
O 0.263 0.132 0.254
O 0.763 0.368 0.754
O 0.243 0.299 0.748
O 0.243 0.701 0.248
O 0.763 0.632 0.254
O 0.355 0.877 0.585
O 0.658 0.817 0.909
O 0.658 0.183 0.409
O 0.355 0.123 0.085
O 0.855 0.377 0.585
O 0.158 0.317 0.909
O 0.158 0.683 0.409
O 0.855 0.623 0.085
O 0.459 0.874 0.941
O 0.545 0.814 0.559
O 0.545 0.186 0.059
O 0.459 0.126 0.441
O 0.959 0.374 0.941
O 0.045 0.314 0.559
O 0.045 0.686 0.059
O 0.959 0.626 0.441
O 0.058 0.850 0.740
O 0.901 0.868 0.751
O 0.901 0.132 0.251
O 0.058 0.150 0.240
O 0.558 0.350 0.740
O 0.401 0.368 0.751
O 0.401 0.632 0.251
O 0.558 0.650 0.240
CELL_PARAMETERS angstrom
13.033 0.000 -8.897
0.000 9.067 0.000
-0.331 0.000 8.969
```

Output
total DFT energy (no corrections): -6.50 eV/atom

Entry 7:
First-principles (GGA-PBE) data for Na8Ca3GeP6O24 after structural relaxation, as listed in the Materials Project. Values from VASP.

Structure (Quantum ESPRESSO input):
```
&SYSTEM
  ibrav = 0, nat = 126, ntyp = 5
/
ATOMIC_SPECIES
Na 22.99 Na.upf
Ca 40.08 Ca.upf
Ge 72.64 Ge.upf
P 30.97 P.upf
O 16.00 O.upf
ATOMIC_POSITIONS crystal
Na 0.000 0.000 0.075
Na 0.000 0.000 0.578
Na 0.018 0.333 0.154
Na 0.038 0.702 0.658
Na 0.298 0.337 0.658
Na 0.316 0.982 0.154
Na 0.332 0.017 0.489
Na 0.333 0.303 0.000
Na 0.333 0.667 0.242
Na 0.333 0.667 0.746
Na 0.375 0.004 0.834
Na 0.376 0.372 0.322
Na 0.628 0.004 0.322
Na 0.629 0.625 0.834
Na 0.663 0.962 0.658
Na 0.667 0.333 0.407
Na 0.667 0.333 0.923
Na 0.667 0.684 0.154
Na 0.686 0.668 0.489
Na 0.697 0.030 0.000
Na 0.970 0.667 0.000
Na 0.983 0.314 0.489
Na 0.996 0.371 0.834
Na 0.996 0.624 0.322
Ca 0.000 0.000 0.430
Ca 0.000 0.000 0.930
Ca 0.333 0.667 0.093
Ca 0.333 0.667 0.395
Ca 0.333 0.667 0.591
Ca 0.333 0.667 0.895
Ca 0.667 0.333 0.068
Ca 0.667 0.333 0.256
Ca 0.667 0.333 0.760
Ge 0.000 0.000 0.230
Ge 0.000 0.000 0.728
Ge 0.667 0.333 0.563
P 0.005 0.294 0.327
P 0.007 0.648 0.501
P 0.007 0.715 0.822
P 0.019 0.360 0.994
P 0.285 0.292 0.822
P 0.289 0.995 0.327
P 0.338 0.317 0.168
P 0.340 0.981 0.994
P 0.352 0.359 0.501
P 0.362 0.042 0.661
P 0.640 0.660 0.994
P 0.641 0.993 0.501
P 0.680 0.638 0.661
P 0.683 0.020 0.168
P 0.706 0.711 0.327
P 0.708 0.993 0.822
P 0.958 0.320 0.661
P 0.980 0.662 0.168
O 0.001 0.185 0.998
O 0.014 0.188 0.272
O 0.022 0.829 0.763
O 0.084 0.618 0.445
O 0.105 0.453 0.936
O 0.112 0.672 0.557
O 0.119 0.455 0.051
O 0.134 0.465 0.653
O 0.158 0.694 0.163
O 0.162 0.151 0.173
O 0.166 0.465 0.323
O 0.166 0.703 0.817
O 0.171 0.194 0.763
O 0.174 0.986 0.272
O 0.184 0.999 0.998
O 0.186 0.034 0.661
O 0.204 0.200 0.879
O 0.206 0.180 0.497
O 0.216 0.005 0.387
O 0.297 0.463 0.817
O 0.299 0.834 0.323
O 0.306 0.464 0.163
O 0.328 0.439 0.557
O 0.331 0.866 0.653
O 0.336 0.881 0.051
O 0.348 0.895 0.936
O 0.382 0.466 0.445
O 0.417 0.288 0.112
O 0.445 0.344 0.224
O 0.456 0.111 0.719
O 0.458 0.310 0.818
O 0.461 0.161 0.606
O 0.464 0.149 0.322
O 0.497 0.154 0.996
O 0.521 0.353 0.507
O 0.534 0.916 0.445
O 0.535 0.669 0.653
O 0.535 0.701 0.323
O 0.536 0.842 0.163
O 0.537 0.834 0.817
O 0.545 0.664 0.051
O 0.547 0.652 0.936
O 0.561 0.888 0.557
O 0.647 0.168 0.507
O 0.656 0.101 0.224
O 0.656 0.544 0.719
O 0.657 0.503 0.996
O 0.685 0.536 0.322
O 0.690 0.147 0.818
O 0.700 0.539 0.606
O 0.712 0.129 0.112
O 0.789 0.784 0.387
O 0.800 0.004 0.879
O 0.806 0.978 0.763
O 0.812 0.826 0.272
O 0.815 0.816 0.998
O 0.820 0.026 0.497
O 0.832 0.479 0.507
O 0.839 0.300 0.606
O 0.846 0.343 0.996
O 0.849 0.011 0.173
O 0.849 0.814 0.661
O 0.851 0.315 0.322
O 0.853 0.542 0.818
O 0.871 0.583 0.112
O 0.889 0.344 0.719
O 0.899 0.555 0.224
O 0.966 0.151 0.661
O 0.974 0.794 0.497
O 0.989 0.838 0.173
O 0.995 0.211 0.387
O 0.996 0.796 0.879
CELL_PARAMETERS angstrom
9.331 0.000 0.000
-4.665 8.081 0.000
0.000 0.000 22.226
```

Output
total DFT energy (no corrections): -6.45 eV/atom
symmetry: P3, No. 143